Material: Na5Ga2SiGe2P5O24
Method: DFT, GGA-PBE
State: optimized geometry

Cell lengths 8.6208, 8.6227, 21.8034 Å; angles 90.19, 90.17, 119.93 degrees
Element x y z (fractional)
1 Na 0.0000 0.0000 0.0000
2 Na 0.9997 0.3576 0.2501
3 Na 0.0291 0.6915 0.4175
4 Na 0.2963 0.3234 0.4180
5 Na 0.3216 0.6578 0.8340
6 Na 0.3337 0.2932 0.0834
7 Na 0.3366 0.6644 0.3312
8 Na 0.3666 0.3625 0.7501
9 Na 0.6293 0.9877 0.7500
10 Na 0.6591 0.3194 0.1674
11 Na 0.6633 0.6893 0.9170
12 Na 0.6696 0.9642 0.4184
13 Na 0.6714 0.3331 0.6644
14 Na 0.9653 0.6604 0.0846
15 Na 0.9977 0.9947 0.5036
16 Ga 0.3314 0.6595 0.6857
17 Ga 0.3373 0.6658 0.1865
18 Ga 0.6599 0.3182 0.0173
19 Ga 0.6683 0.3248 0.5226
20 Ga 0.9930 0.9925 0.1505
21 Ga 0.9971 0.9955 0.3500
22 Si 0.3672 0.3197 0.9181
23 Si 0.7167 0.7046 0.7511
24 Si 0.9535 0.3259 0.4187
25 Ge 0.0019 0.9969 0.8532
26 Ge 0.3250 0.6542 0.4869
27 Ge 0.3280 0.6559 0.9806
28 Ge 0.6652 0.3275 0.3150
29 Ge 0.6682 0.3362 0.8166
30 Ge 0.9943 0.9863 0.6467
31 P 0.0396 0.3687 0.0843
32 P 0.0409 0.6602 0.5858
33 P 0.2809 0.9889 0.7510
34 P 0.2950 0.2847 0.2510
35 P 0.3307 0.3653 0.5857
36 P 0.3362 0.9477 0.0841
37 P 0.3778 0.0391 0.4182
38 P 0.6207 0.6633 0.0842
39 P 0.6219 0.9503 0.5852
40 P 0.6653 0.0399 0.9171
41 P 0.6646 0.6134 0.4185
42 P 0.7025 0.9897 0.2515
43 P 0.9580 0.6162 0.9182
44 P 0.9964 0.2812 0.7510
45 P 0.9966 0.7027 0.2513
46 O 0.0276 0.1849 0.0898
47 O 0.0284 0.8349 0.5899
48 O 0.0289 0.8144 0.3096
49 O 0.0375 0.1997 0.8078
50 O 0.1189 0.4856 0.1422
51 O 0.1280 0.6283 0.6410
52 O 0.1459 0.6371 0.9248
53 O 0.1564 0.5081 0.4256
54 O 0.1572 0.1782 0.5914
55 O 0.1579 0.6981 0.5253
56 O 0.1594 0.6746 0.2456
57 O 0.1627 0.4653 0.7449
58 O 0.1651 0.4546 0.0278
59 O 0.1650 0.9664 0.0887
60 O 0.1668 0.9588 0.8084
61 O 0.1705 0.1442 0.9085
62 O 0.1768 0.2065 0.3083
63 O 0.1882 0.0114 0.4100
64 O 0.2052 0.0375 0.6942
65 O 0.2134 0.1701 0.1929
66 O 0.2924 0.8230 0.0264
67 O 0.2934 0.4472 0.5260
68 O 0.3074 0.8273 0.7449
69 O 0.3081 0.4691 0.2448
70 O 0.3567 0.5069 0.9249
71 O 0.3602 0.8493 0.4243
72 O 0.3626 0.4806 0.6426
73 O 0.3646 0.8650 0.1410
74 O 0.4529 0.2895 0.9791
75 O 0.4544 0.1584 0.4739
76 O 0.4733 0.1593 0.7579
77 O 0.4821 0.3014 0.2590
78 O 0.4951 0.6361 0.4243
79 O 0.4967 0.3487 0.5770
80 O 0.4970 0.8488 0.9235
81 O 0.4981 0.1184 0.3603
82 O 0.4993 0.1366 0.0786
83 O 0.4987 0.6201 0.1395
84 O 0.5001 0.3686 0.8576
85 O 0.5087 0.8674 0.6422
86 O 0.5165 0.6820 0.7457
87 O 0.5180 0.8251 0.2450
88 O 0.5385 0.6955 0.0249
89 O 0.5382 0.8295 0.5253
90 O 0.6195 0.4914 0.3603
91 O 0.6308 0.1199 0.8578
92 O 0.6376 0.1327 0.5784
93 O 0.6431 0.4957 0.0781
94 O 0.6889 0.5018 0.7582
95 O 0.6904 0.1663 0.2582
96 O 0.7017 0.5335 0.4741
97 O 0.7035 0.1541 0.9738
98 O 0.7830 0.9596 0.3101
99 O 0.7989 0.8327 0.8124
100 O 0.8101 0.8282 0.0897
101 O 0.8106 0.9669 0.5897
102 O 0.8224 0.2918 0.7591
103 O 0.8242 0.2821 0.4755
104 O 0.8255 0.5107 0.2571
105 O 0.8276 0.0363 0.1959
106 O 0.8294 0.0117 0.9102
107 O 0.8297 0.8002 0.4105
108 O 0.8399 0.7962 0.6912
109 O 0.8411 0.5409 0.9754
110 O 0.8561 0.3555 0.0767
111 O 0.8565 0.4965 0.5781
112 O 0.8722 0.3716 0.3564
113 O 0.8747 0.4958 0.8607
114 O 0.9557 0.1585 0.6939
115 O 0.9622 0.7808 0.1931
116 O 0.9703 0.8009 0.9099
117 O 0.9807 0.1532 0.4103

Summary:
Its symmetry is P1 (1). The calculation puts the formation energy from the elements at -9487 kJ/mol of formula units.